# Na6Ta3Al5Si6S6O48

An optimized crystal structure of Na6Ta3Al5Si6S6O48 (PBE-GGA, Materials Project). Values from VASP.

Summary:
corrected total energy (MP2020 scheme) = -7.521 eV per atom
ΔH_f (0 K) = -2.696 eV per atom

```
&SYSTEM
  ibrav = 0, nat = 222, ntyp = 6
/
ATOMIC_SPECIES
Na 22.99 Na.upf
Ta 180.95 Ta.upf
Al 26.98 Al.upf
Si 28.09 Si.upf
S 32.06 S.upf
O 16.00 O.upf
ATOMIC_POSITIONS crystal
Na 0.000 0.000 0.000
Na 0.000 0.004 0.504
Na 0.001 0.337 0.839
Na 0.001 0.669 0.162
Na 0.008 0.664 0.666
Na 0.139 0.835 0.589
Na 0.186 0.147 0.582
Na 0.308 0.649 0.083
Na 0.355 0.335 0.084
Na 0.503 0.163 0.167
Na 0.504 0.504 0.501
Na 0.506 0.501 0.996
Na 0.506 0.830 0.833
Na 0.512 0.157 0.665
Na 0.512 0.834 0.335
Na 0.643 0.334 0.584
Na 0.687 0.653 0.587
Na 0.999 0.325 0.333
Ta 0.015 0.335 0.979
Ta 0.496 0.831 0.980
Ta 0.507 0.172 0.816
Ta 0.507 0.173 0.316
Ta 0.507 0.831 0.488
Ta 0.990 0.327 0.481
Ta 0.991 0.672 0.314
Ta 0.998 0.001 0.148
Ta 0.998 0.668 0.820
Al 0.002 0.002 0.644
Al 0.012 0.667 0.022
Al 0.013 0.326 0.184
Al 0.498 0.500 0.151
Al 0.498 0.834 0.679
Al 0.501 0.173 0.021
Al 0.503 0.503 0.866
Al 0.503 0.507 0.649
Al 0.504 0.163 0.522
Al 0.504 0.835 0.189
Al 0.512 0.501 0.362
Al 0.985 0.999 0.861
Al 0.989 0.664 0.531
Al 0.992 0.337 0.685
Al 0.993 0.012 0.353
Si 0.140 0.481 0.094
Si 0.157 0.188 0.087
Si 0.212 0.159 0.422
Si 0.213 0.832 0.091
Si 0.287 0.662 0.922
Si 0.349 0.684 0.591
Si 0.364 0.983 0.590
Si 0.367 0.315 0.922
Si 0.632 0.316 0.425
Si 0.708 0.666 0.424
Si 0.792 0.162 0.926
Si 0.795 0.836 0.592
Si 0.845 0.864 0.256
Si 0.849 0.186 0.592
Si 0.853 0.527 0.925
Si 0.859 0.479 0.592
Si 0.865 0.154 0.253
Si 0.870 0.814 0.925
S 0.139 0.145 0.753
S 0.142 0.814 0.421
S 0.148 0.862 0.753
S 0.151 0.526 0.420
S 0.219 0.497 0.752
S 0.288 0.338 0.591
S 0.291 0.997 0.255
S 0.353 0.026 0.920
S 0.357 0.364 0.254
S 0.366 0.642 0.254
S 0.639 0.645 0.753
S 0.639 0.980 0.088
S 0.649 0.024 0.421
S 0.649 0.362 0.753
S 0.650 0.690 0.091
S 0.714 0.336 0.090
S 0.718 0.997 0.753
S 0.782 0.498 0.253
O 0.066 0.429 0.151
O 0.069 0.578 0.084
O 0.070 0.233 0.029
O 0.072 0.901 0.412
O 0.074 0.770 0.757
O 0.075 0.092 0.094
O 0.076 0.102 0.807
O 0.076 0.236 0.747
O 0.079 0.436 0.426
O 0.079 0.566 0.365
O 0.080 0.771 0.475
O 0.080 0.902 0.698
O 0.102 0.073 0.412
O 0.107 0.745 0.082
O 0.110 0.922 0.094
O 0.113 0.255 0.427
O 0.114 0.091 0.698
O 0.114 0.916 0.807
O 0.117 0.755 0.366
O 0.118 0.579 0.755
O 0.119 0.416 0.746
O 0.125 0.414 0.033
O 0.125 0.581 0.474
O 0.137 0.252 0.145
O 0.168 0.682 0.574
O 0.176 0.991 0.598
O 0.178 0.320 0.922
O 0.185 0.687 0.861
O 0.188 0.015 0.910
O 0.188 0.320 0.644
O 0.190 0.353 0.250
O 0.192 0.650 0.260
O 0.196 0.984 0.309
O 0.197 0.015 0.200
O 0.197 0.651 0.984
O 0.198 0.354 0.535
O 0.313 0.487 0.807
O 0.315 0.152 0.758
O 0.315 0.822 0.423
O 0.318 0.151 0.482
O 0.318 0.510 0.698
O 0.318 0.516 0.410
O 0.319 0.850 0.750
O 0.322 0.177 0.362
O 0.327 0.849 0.032
O 0.333 0.817 0.147
O 0.335 0.490 0.100
O 0.344 0.178 0.077
O 0.372 0.752 0.647
O 0.381 0.079 0.975
O 0.381 0.917 0.530
O 0.386 0.258 0.585
O 0.390 0.248 0.862
O 0.391 0.416 0.599
O 0.391 0.589 0.198
O 0.391 0.919 0.247
O 0.392 0.078 0.260
O 0.395 0.417 0.308
O 0.398 0.754 0.926
O 0.400 0.582 0.909
O 0.428 0.065 0.865
O 0.430 0.272 0.259
O 0.430 0.401 0.199
O 0.430 0.599 0.308
O 0.431 0.937 0.925
O 0.432 0.082 0.579
O 0.432 0.732 0.249
O 0.435 0.270 0.982
O 0.435 0.590 0.597
O 0.438 0.410 0.909
O 0.442 0.936 0.647
O 0.444 0.730 0.531
O 0.557 0.410 0.411
O 0.569 0.267 0.483
O 0.570 0.734 0.748
O 0.570 0.936 0.424
O 0.571 0.068 0.082
O 0.571 0.600 0.098
O 0.572 0.728 0.035
O 0.575 0.268 0.757
O 0.577 0.600 0.806
O 0.577 0.937 0.142
O 0.579 0.398 0.697
O 0.580 0.065 0.365
O 0.599 0.582 0.411
O 0.605 0.758 0.424
O 0.609 0.416 0.099
O 0.611 0.256 0.084
O 0.613 0.079 0.759
O 0.614 0.591 0.697
O 0.615 0.413 0.806
O 0.617 0.925 0.033
O 0.618 0.252 0.364
O 0.618 0.746 0.144
O 0.618 0.918 0.749
O 0.622 0.078 0.475
O 0.663 0.846 0.244
O 0.666 0.183 0.579
O 0.669 0.485 0.599
O 0.671 0.157 0.258
O 0.674 0.515 0.910
O 0.675 0.146 0.981
O 0.680 0.828 0.931
O 0.681 0.178 0.863
O 0.681 0.810 0.647
O 0.685 0.516 0.199
O 0.686 0.490 0.308
O 0.688 0.854 0.530
O 0.802 0.353 0.035
O 0.810 0.321 0.144
O 0.812 0.987 0.091
O 0.812 0.989 0.808
O 0.814 0.014 0.699
O 0.814 0.654 0.756
O 0.815 0.681 0.084
O 0.817 0.013 0.415
O 0.819 0.348 0.748
O 0.821 0.654 0.481
O 0.822 0.681 0.364
O 0.824 0.325 0.425
O 0.881 0.751 0.862
O 0.882 0.255 0.647
O 0.882 0.421 0.248
O 0.885 0.414 0.532
O 0.886 0.581 0.259
O 0.886 0.589 0.982
O 0.887 0.255 0.928
O 0.890 0.087 0.195
O 0.891 0.920 0.315
O 0.901 0.750 0.579
O 0.904 0.080 0.911
O 0.906 0.921 0.598
O 0.926 0.578 0.582
O 0.931 0.762 0.261
O 0.932 0.901 0.196
O 0.933 0.429 0.929
O 0.934 0.252 0.243
O 0.935 0.107 0.312
O 0.937 0.093 0.598
O 0.938 0.568 0.862
O 0.939 0.766 0.982
O 0.940 0.231 0.531
O 0.940 0.435 0.649
O 0.945 0.910 0.910
CELL_PARAMETERS angstrom
8.636 0.000 0.000
-0.065 15.046 0.000
-0.081 -0.040 22.194
```

# CsAs2Se3

An optimized crystal structure of CsAs2Se3 (PBE-GGA, Materials Project). Values from VASP.

Summary:
corrected total energy (MP2020 scheme) = -4.159 eV per atom
ΔH_f (0 K) = -0.709 eV per atom

```
&SYSTEM
  ibrav = 0, nat = 48, ntyp = 3
/
ATOMIC_SPECIES
Cs 132.91 Cs.upf
As 74.92 As.upf
Se 78.96 Se.upf
ATOMIC_POSITIONS crystal
Cs 0.078 0.250 0.095
Cs 0.094 0.750 0.584
Cs 0.406 0.250 0.084
Cs 0.422 0.750 0.595
Cs 0.578 0.250 0.405
Cs 0.594 0.750 0.916
Cs 0.906 0.250 0.416
Cs 0.922 0.750 0.905
As 0.015 0.750 0.277
As 0.212 0.750 0.934
As 0.243 0.583 0.229
As 0.243 0.917 0.229
As 0.257 0.083 0.729
As 0.257 0.417 0.729
As 0.288 0.250 0.434
As 0.485 0.250 0.777
As 0.515 0.750 0.223
As 0.712 0.750 0.566
As 0.743 0.583 0.271
As 0.743 0.917 0.271
As 0.757 0.083 0.771
As 0.757 0.417 0.771
As 0.788 0.250 0.066
As 0.985 0.250 0.723
Se 0.095 0.250 0.599
Se 0.112 0.750 0.070
Se 0.114 0.514 0.334
Se 0.114 0.986 0.334
Se 0.143 0.008 0.856
Se 0.143 0.492 0.856
Se 0.357 0.508 0.356
Se 0.357 0.992 0.356
Se 0.386 0.014 0.834
Se 0.386 0.486 0.834
Se 0.388 0.250 0.570
Se 0.405 0.750 0.099
Se 0.595 0.250 0.901
Se 0.612 0.750 0.430
Se 0.614 0.514 0.166
Se 0.614 0.986 0.166
Se 0.643 0.008 0.644
Se 0.643 0.492 0.644
Se 0.857 0.508 0.144
Se 0.857 0.992 0.144
Se 0.886 0.014 0.666
Se 0.886 0.486 0.666
Se 0.888 0.250 0.930
Se 0.905 0.750 0.401
CELL_PARAMETERS angstrom
15.077 0.000 0.000
0.000 7.659 0.000
0.000 0.000 13.678
```

# KSb2PO8

An optimized crystal structure of KSb2PO8 (PBE-GGA, Materials Project). Values from VASP.

Summary:
corrected total energy (MP2020 scheme) = -6.751 eV per atom
ΔH_f (0 K) = -2.221 eV per atom

```
&SYSTEM
  ibrav = 0, nat = 48, ntyp = 4
/
ATOMIC_SPECIES
K 39.10 K.upf
Sb 121.76 Sb.upf
P 30.97 P.upf
O 16.00 O.upf
ATOMIC_POSITIONS crystal
K 0.120 0.880 0.500
K 0.180 0.937 0.769
K 0.880 0.120 0.000
K 0.937 0.180 0.269
Sb 0.152 0.406 0.630
Sb 0.218 0.482 0.946
Sb 0.406 0.152 0.130
Sb 0.482 0.218 0.446
Sb 0.573 0.835 0.320
Sb 0.649 0.903 0.636
Sb 0.835 0.573 0.820
Sb 0.903 0.649 0.136
P 0.315 0.539 0.277
P 0.515 0.741 0.989
P 0.539 0.315 0.777
P 0.741 0.515 0.489
O 0.011 0.366 0.725
O 0.025 0.696 0.856
O 0.026 0.360 0.911
O 0.049 0.686 0.042
O 0.089 0.333 0.130
O 0.098 0.700 0.230
O 0.275 0.431 0.351
O 0.278 0.442 0.527
O 0.333 0.089 0.630
O 0.354 0.955 0.037
O 0.360 0.026 0.411
O 0.366 0.011 0.225
O 0.368 0.466 0.708
O 0.378 0.648 0.946
O 0.412 0.673 0.321
O 0.431 0.275 0.851
O 0.442 0.278 0.027
O 0.466 0.368 0.208
O 0.587 0.691 0.555
O 0.614 0.769 0.737
O 0.620 0.784 0.915
O 0.648 0.378 0.446
O 0.673 0.412 0.821
O 0.686 0.049 0.542
O 0.691 0.587 0.055
O 0.696 0.025 0.356
O 0.700 0.098 0.730
O 0.723 0.967 0.136
O 0.769 0.614 0.237
O 0.784 0.620 0.415
O 0.955 0.354 0.537
O 0.967 0.723 0.636
CELL_PARAMETERS angstrom
6.264 -3.596 0.000
6.264 3.596 0.000
-1.589 0.000 15.178
```

# RbTb3F10

An optimized crystal structure of RbTb3F10 (PBE-GGA, Materials Project). Values from VASP.

Summary:
corrected total energy (MP2020 scheme) = -6.723 eV per atom
ΔH_f (0 K) = -4.292 eV per atom

```
&SYSTEM
  ibrav = 0, nat = 28, ntyp = 3
/
ATOMIC_SPECIES
Rb 85.47 Rb.upf
Tb 158.93 Tb.upf
F 19.00 F.upf
ATOMIC_POSITIONS crystal
Rb 0.250 0.250 0.250
Rb 0.750 0.750 0.750
Tb 0.240 0.240 0.760
Tb 0.240 0.760 0.240
Tb 0.240 0.760 0.760
Tb 0.760 0.240 0.240
Tb 0.760 0.240 0.760
Tb 0.760 0.760 0.240
F 0.111 0.111 0.111
F 0.111 0.111 0.668
F 0.111 0.668 0.111
F 0.171 0.500 0.500
F 0.171 0.500 0.829
F 0.171 0.829 0.500
F 0.332 0.889 0.889
F 0.500 0.171 0.500
F 0.500 0.171 0.829
F 0.500 0.500 0.171
F 0.500 0.500 0.829
F 0.500 0.829 0.171
F 0.500 0.829 0.500
F 0.668 0.111 0.111
F 0.829 0.171 0.500
F 0.829 0.500 0.171
F 0.829 0.500 0.500
F 0.889 0.332 0.889
F 0.889 0.889 0.332
F 0.889 0.889 0.889
CELL_PARAMETERS angstrom
0.000 5.890 5.890
5.890 0.000 5.890
5.890 5.890 0.000
```

# MgSi2

An optimized crystal structure of MgSi2 (PBE-GGA, Materials Project). Values from VASP.

Summary:
excess energy over the best structure of this formula in the dataset = 45 meV/atom
corrected total energy (MP2020 scheme) = -4.028 eV per atom
ΔH_f (0 K) = 0.123 eV per atom

```
&SYSTEM
  ibrav = 0, nat = 12, ntyp = 2
/
ATOMIC_SPECIES
Mg 24.30 Mg.upf
Si 28.09 Si.upf
ATOMIC_POSITIONS crystal
Mg 0.000 0.000 0.000
Mg 0.044 0.286 0.556
Mg 0.418 0.316 0.807
Mg 0.645 0.266 0.312
Si 0.132 0.913 0.773
Si 0.315 0.290 0.093
Si 0.321 0.682 0.609
Si 0.394 0.868 0.222
Si 0.678 0.581 0.083
Si 0.699 0.684 0.875
Si 0.767 0.887 0.505
Si 0.931 0.680 0.338
CELL_PARAMETERS angstrom
3.727 0.000 0.000
1.862 5.199 0.000
1.757 2.044 11.586
```

> Look up the ΔH_f (0 K) of the second one.

-0.709 eV per atom

> Number 2 is which compound?

CsAs2Se3

> The highest corrected total energy (MP2020 scheme) belongs to which entry?

MgSi2